[1]
# LiF, optimized geometry, DFT PBE
data_LiF
_cell_length_a 2.5595
_cell_length_b 2.5595
_cell_length_c 2.5595
_cell_angle_alpha 90.00
_cell_angle_beta 90.00
_cell_angle_gamma 90.00
_space_group_name_H-M_alt 'P m -3 m'
_space_group_IT_number 221
_space_group_name_Hall '-P 4 2 3'
loop_
_atom_site_label
_atom_site_type_symbol
_atom_site_fract_x
_atom_site_fract_y
_atom_site_fract_z
Li1 Li 0.0000 0.0000 0.0000
F1 F 0.5000 0.5000 0.5000
# Calculated formation energy, eV/atom: -2.877
# Excess energy over the best structure of this formula in the dataset, meV per atom: 288
# E_tot, eV per atom: -4.56
# Size of the total moment, μB/f.u.: 0.0

[2]
# Y4C4I3Br, optimized geometry, DFT PBE
data_Y4C4I3Br
_cell_length_a 7.2510
_cell_length_b 3.9134
_cell_length_c 20.9459
_cell_angle_alpha 90.00
_cell_angle_beta 94.03
_cell_angle_gamma 90.00
_space_group_name_H-M_alt 'C 1 m 1'
_space_group_IT_number 8
loop_
_space_group_symop_operation_xyz
'x,y,z'
'x,-y,z'
'x+1/2,y+1/2,z'
'x+1/2,-y+1/2,z'
loop_
_atom_site_label
_atom_site_type_symbol
_atom_site_fract_x
_atom_site_fract_y
_atom_site_fract_z
Y1 Y 0.0000 0.0000 0.0000
Y2 Y 0.9995 0.0000 0.4982
Y3 Y 0.2085 0.5000 0.3643
Y4 Y 0.2108 0.5000 0.8671
C1 C 0.2776 0.0000 0.4468
C2 C 0.2782 0.0000 0.9488
C3 C 0.4307 0.0000 0.4155
C4 C 0.4324 0.0000 0.9181
I1 I 0.0290 0.0000 0.7665
I2 I 0.1813 0.5000 0.5991
I3 I 0.1817 0.5000 0.1009
Br1 Br 0.0338 0.0000 0.2746
# Calculated formation energy, eV/atom: -0.955
# E_tot, eV per atom: -6.66
# Size of the total moment, μB/f.u.: 0.0

[3]
# Ga, optimized geometry, DFT PBE
data_Ga
_cell_length_a 4.1169
_cell_length_b 4.6621
_cell_length_c 7.9212
_cell_angle_alpha 90.00
_cell_angle_beta 90.00
_cell_angle_gamma 90.00
_space_group_name_H-M_alt 'C m c e'
_space_group_IT_number 64
_space_group_name_Hall '-C 2ac 2'
loop_
_atom_site_label
_atom_site_type_symbol
_atom_site_fract_x
_atom_site_fract_y
_atom_site_fract_z
Ga1 Ga 0.0000 0.2187 0.1269
# Calculated formation energy, eV/atom: 0.015
# Excess energy over the best structure of this formula in the dataset, meV per atom: 15
# E_tot, eV per atom: -3.01